Record 1
A plane-wave DFT calculation with PBE was carried out for a geometry-optimized La2Zn3Ge6 structure.

```
22
Lattice="3.014 -12.550 0.000 3.014 12.550 0.000 0.000 0.000 6.025" Properties=species:S:1:pos:R:3 pbc="T T T"
La 3.014 -9.900 1.506
La 3.014 2.645 4.519
La 3.014 -2.645 1.506
La 3.014 9.900 4.519
Zn 4.586 0.000 0.000
Zn 3.014 4.042 1.506
Zn 4.586 0.000 3.013
Zn 3.014 -4.042 4.519
Zn 1.443 0.000 0.000
Zn 1.443 0.000 3.013
Ge 1.294 5.058 5.813
Ge 4.735 -5.058 2.800
Ge 4.735 5.058 5.813
Ge 4.735 -5.058 0.212
Ge 3.014 -10.891 4.519
Ge 1.294 -5.058 2.800
Ge 3.014 1.473 1.506
Ge 4.735 5.058 3.225
Ge 1.294 -5.058 0.212
Ge 3.014 10.891 1.506
Ge 3.014 -1.473 4.519
Ge 1.294 5.058 3.225
```

Properties
- Formation energy from the elements: -424 meV/atom
- V: 455.9 Å³ per cell

***

Record 2
A plane-wave DFT calculation with PBE was carried out for a geometry-optimized LiGe3 structure.

```
4
Lattice="-2.041 2.041 4.351 2.041 -2.041 4.351 2.041 2.041 -4.351" Properties=species:S:1:pos:R:3 pbc="T T T"
Li 0.000 0.000 0.000
Ge 0.000 2.041 2.175
Ge 2.041 0.000 2.175
Ge 0.000 0.000 4.351
```

Properties
- Formation energy from the elements: 6 meV/atom
- V: 72.5 Å³ per cell

***

Question: Number 2 is which compound?
Answer: LiGe3

***

Question: Which formula does entry 1 have?
Answer: La2Zn3Ge6

***

Question: Number 2 is which compound?
Answer: LiGe3

***

Question: Which of these has the lowest formation energy from the elements?
Answer: La2Zn3Ge6